No. 1
A relaxed structure of Li12Ge7, computed with PBE-GGA.

Computed properties:
space group: Pnma
energy: -3.229 eV/atom
theoretical density: 3.0 g/cm3
formation energy from the elements: -320 meV per atom
total magnetic moment: 0.000 μB/atom

abc: 8.8076 14.6537 20.1294
angles: 90.00 90.00 90.00
Closest atoms and distances in Å follow each position.
Positions (direct):
Li (0.3632, 0.0224, 0.3278)  3 Ge 2.67-2.89, 4 Li 2.86-2.99
Li (0.8681, 0.0679, 0.0046)  5 Ge 2.74-2.85, 5 Li 2.80-3.06
Li (0.6612, 0.0055, 0.3869)  3 Ge 2.64-2.80, 3 Li 2.65-2.89
Li (0.6376, 0.3392, 0.1883)  3 Li 2.48-2.70, 1 Ge 2.67
Li (0.6142, 0.3697, 0.7500)  5 Ge 2.73-2.95, 5 Li 2.92-2.98
Li (0.6368, 0.9776, 0.6722)  3 Ge 2.67-2.89, 4 Li 2.86-2.99
Li (0.1376, 0.1608, 0.1883)  3 Li 2.48-2.70, 1 Ge 2.67
Li (0.0084, 0.0262, 0.3744)  3 Li 2.60-2.80, 4 Ge 2.66-2.87
Li (0.6214, 0.8407, 0.1650)  4 Ge 2.63-2.92, 2 Li 2.65-2.92
Li (0.1319, 0.9321, 0.5046)  5 Ge 2.74-2.85, 5 Li 2.80-3.06
Li (0.8706, 0.2361, 0.1127)  5 Ge 2.68-2.89, 3 Li 2.92-2.97
Li (0.8890, 0.6559, 0.6867)  3 Li 2.55-2.70, 2 Ge 2.69-2.79
Li (0.8624, 0.8392, 0.6883)  3 Li 2.48-2.70, 1 Ge 2.67
Li (0.1110, 0.3441, 0.1867)  3 Li 2.55-2.70, 2 Ge 2.69-2.79
Li (0.3681, 0.4321, 0.4954)  5 Ge 2.74-2.85, 5 Li 2.80-3.06
Li (0.3388, 0.9945, 0.6131)  3 Ge 2.64-2.80, 3 Li 2.65-2.89
Li (0.6294, 0.7361, 0.6127)  5 Ge 2.68-2.89, 3 Li 2.92-2.97
Li (0.1376, 0.1608, 0.3117)  3 Li 2.48-2.70, 1 Ge 2.67
Li (0.6294, 0.9330, 0.9727)  5 Ge 2.65-2.89, 2 Li 2.83-2.96
Li (0.8738, 0.1403, 0.6461)  5 Li 2.68-2.98, 5 Ge 2.73-2.87
Li (0.8721, 0.2573, 0.5314)  5 Li 2.83-2.96, 8 Ge 2.93-3.12
Li (0.3738, 0.3597, 0.6461)  5 Li 2.68-2.98, 5 Ge 2.73-2.87
Li (0.8706, 0.4330, 0.4727)  5 Ge 2.65-2.89, 2 Li 2.83-2.96
Li (0.1368, 0.5224, 0.8278)  3 Ge 2.67-2.89, 4 Li 2.86-2.99
Li (0.3632, 0.0224, 0.1722)  3 Ge 2.67-2.89, 4 Li 2.86-2.99
Li (0.8624, 0.8392, 0.8117)  3 Li 2.48-2.70, 1 Ge 2.67
Li (0.3706, 0.0670, 0.0273)  5 Ge 2.65-2.89, 2 Li 2.83-2.96
Li (0.3858, 0.6303, 0.2500)  5 Ge 2.73-2.95, 5 Li 2.92-2.98
Li (0.8632, 0.4776, 0.3278)  3 Ge 2.67-2.89, 4 Li 2.86-2.99
Li (0.1319, 0.9321, 0.9954)  5 Ge 2.74-2.85, 5 Li 2.80-3.06
Li (0.8890, 0.6559, 0.8133)  3 Li 2.55-2.70, 2 Ge 2.69-2.79
Li (0.3624, 0.6608, 0.8117)  3 Li 2.48-2.70, 1 Ge 2.67
Li (0.8858, 0.8697, 0.2500)  5 Ge 2.73-2.95, 5 Li 2.92-2.98
Li (0.6110, 0.1559, 0.1867)  3 Li 2.55-2.70, 2 Ge 2.69-2.79
Li (0.3721, 0.2427, 0.5314)  5 Li 2.83-2.96, 8 Ge 2.93-3.12
Li (0.6615, 0.1687, 0.7500)  2 Ge 2.62, 2 Li 2.84
Li (0.1368, 0.5224, 0.6722)  3 Ge 2.67-2.89, 4 Li 2.86-2.99
Li (0.3706, 0.0670, 0.4727)  5 Ge 2.65-2.89, 2 Li 2.83-2.96
Li (0.6262, 0.6403, 0.3539)  5 Li 2.68-2.98, 5 Ge 2.73-2.87
Li (0.8706, 0.2361, 0.3873)  5 Ge 2.68-2.89, 3 Li 2.92-2.97
Li (0.8385, 0.6687, 0.2500)  2 Ge 2.62, 2 Li 2.84
Li (0.1262, 0.8597, 0.1461)  5 Li 2.68-2.98, 5 Ge 2.73-2.87
Li (0.3624, 0.6608, 0.6883)  3 Li 2.48-2.70, 1 Ge 2.67
Li (0.1294, 0.7639, 0.6127)  5 Ge 2.68-2.89, 3 Li 2.92-2.97
Li (0.5084, 0.4738, 0.3744)  3 Li 2.60-2.80, 4 Ge 2.66-2.87
Li (0.1214, 0.6593, 0.1650)  4 Ge 2.63-2.92, 2 Li 2.65-2.92
Li (0.1279, 0.7427, 0.4686)  5 Li 2.83-2.96, 8 Ge 2.93-3.12
Li (0.6612, 0.0055, 0.1131)  3 Ge 2.64-2.80, 3 Li 2.65-2.89
Li (0.6262, 0.6403, 0.1461)  5 Li 2.68-2.98, 5 Ge 2.73-2.87
Li (0.1214, 0.6593, 0.3350)  4 Ge 2.63-2.92, 2 Li 2.65-2.92
Li (0.6319, 0.5679, 0.5046)  5 Ge 2.74-2.85, 5 Li 2.80-3.06
Li (0.3738, 0.3597, 0.8539)  5 Li 2.68-2.98, 5 Ge 2.73-2.87
Li (0.1110, 0.3441, 0.3133)  3 Li 2.55-2.70, 2 Ge 2.69-2.79
Li (0.6319, 0.5679, 0.9954)  5 Ge 2.74-2.85, 5 Li 2.80-3.06
Li (0.8786, 0.3407, 0.6650)  4 Ge 2.63-2.92, 2 Li 2.65-2.92
Li (0.4916, 0.5262, 0.6256)  3 Li 2.60-2.80, 4 Ge 2.66-2.87
Li (0.6294, 0.7361, 0.8873)  5 Ge 2.68-2.89, 3 Li 2.92-2.97
Li (0.3890, 0.8441, 0.8133)  3 Li 2.55-2.70, 2 Ge 2.69-2.79
Li (0.6214, 0.8407, 0.3350)  4 Ge 2.63-2.92, 2 Li 2.65-2.92
Li (0.9916, 0.9738, 0.8744)  3 Li 2.60-2.80, 4 Ge 2.66-2.87
Li (0.8388, 0.5055, 0.8869)  3 Ge 2.64-2.80, 3 Li 2.65-2.89
Li (0.1142, 0.1303, 0.7500)  5 Ge 2.73-2.95, 5 Li 2.92-2.98
Li (0.3786, 0.1593, 0.8350)  4 Ge 2.63-2.92, 2 Li 2.65-2.92
Li (0.8721, 0.2573, 0.9686)  5 Li 2.83-2.96, 8 Ge 2.93-3.12
Li (0.8681, 0.0679, 0.4954)  5 Ge 2.74-2.85, 5 Li 2.80-3.06
Li (0.1262, 0.8597, 0.3539)  5 Li 2.68-2.98, 5 Ge 2.73-2.87
Li (0.1294, 0.7639, 0.8873)  5 Ge 2.68-2.89, 3 Li 2.92-2.97
Li (0.3706, 0.2639, 0.3873)  5 Ge 2.68-2.89, 3 Li 2.92-2.97
Li (0.5084, 0.4738, 0.1256)  3 Li 2.60-2.80, 4 Ge 2.66-2.87
Li (0.6110, 0.1559, 0.3133)  3 Li 2.55-2.70, 2 Ge 2.69-2.79
Li (0.6294, 0.9330, 0.5273)  5 Ge 2.65-2.89, 2 Li 2.83-2.96
Li (0.8706, 0.4330, 0.0273)  5 Ge 2.65-2.89, 2 Li 2.83-2.96
Li (0.1279, 0.7427, 0.0314)  5 Li 2.83-2.96, 8 Ge 2.93-3.12
Li (0.3681, 0.4321, 0.0046)  5 Ge 2.74-2.85, 5 Li 2.80-3.06
Li (0.8388, 0.5055, 0.6131)  3 Ge 2.64-2.80, 3 Li 2.65-2.89
Li (0.3721, 0.2427, 0.9686)  5 Li 2.83-2.96, 8 Ge 2.93-3.12
Li (0.6376, 0.3392, 0.3117)  3 Li 2.48-2.70, 1 Ge 2.67
Li (0.3786, 0.1593, 0.6650)  4 Ge 2.63-2.92, 2 Li 2.65-2.92
Li (0.8786, 0.3407, 0.8350)  4 Ge 2.63-2.92, 2 Li 2.65-2.92
Li (0.0084, 0.0262, 0.1256)  3 Li 2.60-2.80, 4 Ge 2.66-2.87
Li (0.9916, 0.9738, 0.6256)  3 Li 2.60-2.80, 4 Ge 2.66-2.87
Li (0.1294, 0.5670, 0.9727)  5 Ge 2.65-2.89, 2 Li 2.83-2.96
Li (0.4916, 0.5262, 0.8744)  3 Li 2.60-2.80, 4 Ge 2.66-2.87
Li (0.8632, 0.4776, 0.1722)  3 Ge 2.67-2.89, 4 Li 2.86-2.99
Li (0.3385, 0.8313, 0.2500)  2 Ge 2.62, 2 Li 2.84
Li (0.6279, 0.7573, 0.0314)  5 Li 2.83-2.96, 8 Ge 2.93-3.12
Li (0.3388, 0.9945, 0.8869)  3 Ge 2.64-2.80, 3 Li 2.65-2.89
Li (0.6279, 0.7573, 0.4686)  5 Li 2.83-2.96, 8 Ge 2.93-3.12
Li (0.1294, 0.5670, 0.5273)  5 Ge 2.65-2.89, 2 Li 2.83-2.96
Li (0.6368, 0.9776, 0.8278)  3 Ge 2.67-2.89, 4 Li 2.86-2.99
Li (0.3890, 0.8441, 0.6867)  3 Li 2.55-2.70, 2 Ge 2.69-2.79
Li (0.1612, 0.4945, 0.1131)  3 Ge 2.64-2.80, 3 Li 2.65-2.89
Li (0.1612, 0.4945, 0.3869)  3 Ge 2.64-2.80, 3 Li 2.65-2.89
Li (0.1615, 0.3313, 0.7500)  2 Ge 2.62, 2 Li 2.84
Li (0.3706, 0.2639, 0.1127)  5 Ge 2.68-2.89, 3 Li 2.92-2.97
Li (0.8738, 0.1403, 0.8539)  5 Li 2.68-2.98, 5 Ge 2.73-2.87
Ge (0.1258, 0.2478, 0.8642)  2 Ge 2.51, 5 Li 2.62-2.74
Ge (0.6258, 0.2522, 0.8642)  2 Ge 2.51, 5 Li 2.62-2.74
Ge (0.3917, 0.8899, 0.0665)  2 Ge 2.51-2.53, 2 Li 2.72-2.77
Ge (0.1187, 0.3364, 0.4469)  2 Ge 2.51-2.53, 5 Li 2.64-2.78
Ge (0.6269, 0.7446, 0.7500)  1 Ge 2.55, 6 Li 2.77-2.85
Ge (0.1195, 0.1653, 0.0558)  2 Ge 2.51, 4 Li 2.66-2.70
Ge (0.6320, 0.5707, 0.7500)  3 Ge 2.54-2.55
Ge (0.3742, 0.7478, 0.1358)  2 Ge 2.51, 5 Li 2.62-2.74
Ge (0.1195, 0.1653, 0.4442)  2 Ge 2.51, 4 Li 2.66-2.70
Ge (0.8742, 0.7522, 0.3642)  2 Ge 2.51, 5 Li 2.62-2.74
Ge (0.1083, 0.3899, 0.5665)  2 Ge 2.51-2.53, 2 Li 2.72-2.77
Ge (0.8731, 0.2446, 0.2500)  1 Ge 2.55, 6 Li 2.77-2.85
Ge (0.8846, 0.4864, 0.7500)  1 Ge 2.54, 8 Li 2.74-2.80
Ge (0.1320, 0.9293, 0.7500)  3 Ge 2.54-2.55
Ge (0.3805, 0.6653, 0.5558)  2 Ge 2.51, 4 Li 2.66-2.70
Ge (0.6195, 0.3347, 0.4442)  2 Ge 2.51, 4 Li 2.66-2.70
Ge (0.3813, 0.8364, 0.5531)  2 Ge 2.51-2.53, 5 Li 2.64-2.78
Ge (0.6153, 0.9864, 0.2500)  1 Ge 2.54, 8 Li 2.74-2.80
Ge (0.1303, 0.1101, 0.9380)  2 Ge 2.51, 3 Li 2.67-2.74
Ge (0.6303, 0.3899, 0.5620)  2 Ge 2.51, 3 Li 2.67-2.74
Ge (0.1083, 0.3899, 0.9335)  2 Ge 2.51-2.53, 2 Li 2.72-2.77
Ge (0.6195, 0.3347, 0.0558)  2 Ge 2.51, 4 Li 2.66-2.70
Ge (0.1187, 0.3364, 0.0531)  2 Ge 2.51-2.53, 5 Li 2.64-2.78
Ge (0.1269, 0.7554, 0.7500)  1 Ge 2.55, 6 Li 2.77-2.85
Ge (0.8805, 0.8347, 0.9442)  2 Ge 2.51, 4 Li 2.66-2.70
Ge (0.8697, 0.8899, 0.0620)  2 Ge 2.51, 3 Li 2.67-2.74
Ge (0.8917, 0.6101, 0.0665)  2 Ge 2.51-2.53, 2 Li 2.72-2.77
Ge (0.6234, 0.5102, 0.2500)  1 Ge 2.54, 9 Li 2.67-2.83
Ge (0.8697, 0.8899, 0.4380)  2 Ge 2.51, 3 Li 2.67-2.74
Ge (0.8813, 0.6636, 0.5531)  2 Ge 2.51-2.53, 5 Li 2.64-2.78
Ge (0.6258, 0.2522, 0.6358)  2 Ge 2.51, 5 Li 2.62-2.74
Ge (0.6187, 0.1636, 0.0531)  2 Ge 2.51-2.53, 5 Li 2.64-2.78
Ge (0.8766, 0.0102, 0.7500)  1 Ge 2.54, 9 Li 2.67-2.83
Ge (0.8813, 0.6636, 0.9469)  2 Ge 2.51-2.53, 5 Li 2.64-2.78
Ge (0.1258, 0.2478, 0.6358)  2 Ge 2.51, 5 Li 2.62-2.74
Ge (0.3813, 0.8364, 0.9469)  2 Ge 2.51-2.53, 5 Li 2.64-2.78
Ge (0.3697, 0.6101, 0.0620)  2 Ge 2.51, 3 Li 2.67-2.74
Ge (0.3917, 0.8899, 0.4335)  2 Ge 2.51-2.53, 2 Li 2.72-2.77
Ge (0.8917, 0.6101, 0.4335)  2 Ge 2.51-2.53, 2 Li 2.72-2.77
Ge (0.1303, 0.1101, 0.5620)  2 Ge 2.51, 3 Li 2.67-2.74
Ge (0.6083, 0.1101, 0.9335)  2 Ge 2.51-2.53, 2 Li 2.72-2.77
Ge (0.8805, 0.8347, 0.5558)  2 Ge 2.51, 4 Li 2.66-2.70
Ge (0.3697, 0.6101, 0.4380)  2 Ge 2.51, 3 Li 2.67-2.74
Ge (0.6303, 0.3899, 0.9380)  2 Ge 2.51, 3 Li 2.67-2.74
Ge (0.3742, 0.7478, 0.3642)  2 Ge 2.51, 5 Li 2.62-2.74
Ge (0.8680, 0.0707, 0.2500)  3 Ge 2.54-2.55
Ge (0.6187, 0.1636, 0.4469)  2 Ge 2.51-2.53, 5 Li 2.64-2.78
Ge (0.3846, 0.0136, 0.7500)  1 Ge 2.54, 8 Li 2.74-2.80
Ge (0.3805, 0.6653, 0.9442)  2 Ge 2.51, 4 Li 2.66-2.70
Ge (0.8742, 0.7522, 0.1358)  2 Ge 2.51, 5 Li 2.62-2.74
Ge (0.6083, 0.1101, 0.5665)  2 Ge 2.51-2.53, 2 Li 2.72-2.77
Ge (0.1234, 0.9898, 0.2500)  1 Ge 2.54, 9 Li 2.67-2.83
Ge (0.1154, 0.5136, 0.2500)  1 Ge 2.54, 8 Li 2.74-2.80
Ge (0.3766, 0.4898, 0.7500)  1 Ge 2.54, 9 Li 2.67-2.83
Ge (0.3731, 0.2554, 0.2500)  1 Ge 2.55, 6 Li 2.77-2.85
Ge (0.3680, 0.4293, 0.2500)  3 Ge 2.54-2.55

***

No. 2
A relaxed structure of Li3Ge, computed with PBE-GGA.

Computed properties:
space group: Fm-3m
energy: -2.915 eV/atom
theoretical density: 2.6 g/cm3
formation energy from the elements: -327 meV per atom

abc: 4.4035 4.4035 4.4035
angles: 60.00 60.00 60.00
Closest atoms and distances in Å follow each position.
Positions (direct):
Ge (0.0000, 0.0000, 0.0000)  8 Li 2.70
Li (0.2500, 0.2500, 0.2500)  4 Li 2.70, 4 Ge 2.70
Li (0.7500, 0.7500, 0.7500)  4 Ge 2.70, 4 Li 2.70
Li (0.5000, 0.5000, 0.5000)  8 Li 2.70

***

No. 3
A relaxed structure of LiLu4Ge4, computed with PBE-GGA.

Computed properties:
space group: Pnma
energy: -5.062 eV/atom
theoretical density: 8.7 g/cm3
formation energy from the elements: -786 meV per atom

abc: 7.0114 7.5858 14.3903
angles: 90.00 90.00 90.00
Closest atoms and distances in Å follow each position.
Positions (direct):
Li (0.8416, 0.4787, 0.2500)  3 Ge 2.65-2.76
Li (0.6584, 0.9787, 0.7500)  3 Ge 2.65-2.76
Li (0.1584, 0.5213, 0.7500)  3 Ge 2.65-2.76
Li (0.3416, 0.0213, 0.2500)  3 Ge 2.65-2.76
Ge (0.0163, 0.0889, 0.7500)  1 Ge 2.56, 1 Li 2.65, 2 Lu 2.83
Ge (0.3311, 0.9659, 0.4624)  1 Ge 2.66, 4 Lu 2.79-2.92
Ge (0.1689, 0.4659, 0.9624)  1 Ge 2.66, 4 Lu 2.79-2.92
Ge (0.2858, 0.8614, 0.7500)  1 Ge 2.56, 2 Li 2.73-2.76
Ge (0.4837, 0.5889, 0.2500)  1 Ge 2.56, 1 Li 2.65, 2 Lu 2.83
Ge (0.7858, 0.6386, 0.7500)  1 Ge 2.56, 2 Li 2.73-2.76
Ge (0.1689, 0.4659, 0.5376)  1 Ge 2.66, 4 Lu 2.79-2.92
Ge (0.8311, 0.5341, 0.4624)  1 Ge 2.66, 4 Lu 2.79-2.92
Ge (0.6689, 0.0341, 0.9624)  1 Ge 2.66, 4 Lu 2.79-2.92
Ge (0.3311, 0.9659, 0.0376)  1 Ge 2.66, 4 Lu 2.79-2.92
Ge (0.7142, 0.1386, 0.2500)  1 Ge 2.56, 2 Li 2.73-2.76
Ge (0.2142, 0.3614, 0.2500)  1 Ge 2.56, 2 Li 2.73-2.76
Ge (0.8311, 0.5341, 0.0376)  1 Ge 2.66, 4 Lu 2.79-2.92
Ge (0.5163, 0.4111, 0.7500)  1 Ge 2.56, 1 Li 2.65, 2 Lu 2.83
Ge (0.6689, 0.0341, 0.5376)  1 Ge 2.66, 4 Lu 2.79-2.92
Ge (0.9837, 0.9111, 0.2500)  1 Ge 2.56, 1 Li 2.65, 2 Lu 2.83
Lu (0.8282, 0.3242, 0.8723)  6 Ge 2.79-2.98
Lu (0.6718, 0.8242, 0.1277)  6 Ge 2.79-2.98
Lu (0.5141, 0.3141, 0.0964)  6 Ge 2.91-3.07
Lu (0.8282, 0.3242, 0.6277)  6 Ge 2.79-2.98
Lu (0.1718, 0.6758, 0.1277)  6 Ge 2.79-2.98
Lu (0.0141, 0.1859, 0.0964)  6 Ge 2.91-3.07
Lu (0.5141, 0.3141, 0.4036)  6 Ge 2.91-3.07
Lu (0.4859, 0.6859, 0.9036)  6 Ge 2.91-3.07
Lu (0.1718, 0.6758, 0.3723)  6 Ge 2.79-2.98
Lu (0.3282, 0.1758, 0.8723)  6 Ge 2.79-2.98
Lu (0.4859, 0.6859, 0.5964)  6 Ge 2.91-3.07
Lu (0.9859, 0.8141, 0.5964)  6 Ge 2.91-3.07
Lu (0.6718, 0.8242, 0.3723)  6 Ge 2.79-2.98
Lu (0.3282, 0.1758, 0.6277)  6 Ge 2.79-2.98
Lu (0.9859, 0.8141, 0.9036)  6 Ge 2.91-3.07
Lu (0.0141, 0.1859, 0.4036)  6 Ge 2.91-3.07

***

No. 4
A relaxed structure of Li2Lu3Ge3, computed with PBE-GGA.

Computed properties:
space group: Cmcm
energy: -4.547 eV/atom
theoretical density: 7.8 g/cm3
formation energy from the elements: -641 meV per atom
total magnetic moment: 0.001 μB/atom

abc: 5.9547 5.9547 13.8879
angles: 90.00 90.00 139.39
Closest atoms and distances in Å follow each position.
Positions (direct):
Li (0.7218, 0.2782, 0.0785)  4 Ge 2.52-2.68
Li (0.2782, 0.7218, 0.5785)  4 Ge 2.52-2.68
Li (0.7218, 0.2782, 0.4215)  4 Ge 2.52-2.68
Li (0.2782, 0.7218, 0.9215)  4 Ge 2.52-2.68
Ge (0.0995, 0.9005, 0.0452)  3 Li 2.52-2.63, 1 Ge 2.55
Ge (0.0995, 0.9005, 0.4548)  3 Li 2.52-2.63, 1 Ge 2.55
Ge (0.9005, 0.0995, 0.5452)  3 Li 2.52-2.63, 1 Ge 2.55
Ge (0.1678, 0.8322, 0.7500)  2 Li 2.68, 6 Lu 2.97-2.99
Ge (0.8322, 0.1678, 0.2500)  2 Li 2.68, 6 Lu 2.97-2.99
Ge (0.9005, 0.0995, 0.9548)  3 Li 2.52-2.63, 1 Ge 2.55
Lu (0.5696, 0.4304, 0.8812)  6 Ge 2.97-3.09, 4 Li 3.16-3.30
Lu (0.1388, 0.8612, 0.2500)  4 Ge 2.88-2.99
Lu (0.4304, 0.5696, 0.1188)  6 Ge 2.97-3.09, 4 Li 3.16-3.30
Lu (0.5696, 0.4304, 0.6188)  6 Ge 2.97-3.09, 4 Li 3.16-3.30
Lu (0.8612, 0.1388, 0.7500)  4 Ge 2.88-2.99
Lu (0.4304, 0.5696, 0.3812)  6 Ge 2.97-3.09, 4 Li 3.16-3.30